<i>
A plane-wave DFT calculation with GGA+U was carried out for Na5VO4 after structural relaxation. Values from VASP.

```
&SYSTEM
  ibrav = 0, nat = 80, ntyp = 3
/
ATOMIC_SPECIES
Na 22.99 Na.upf
V 50.94 V.upf
O 16.00 O.upf
CELL_PARAMETERS angstrom
-7.0967 -5.8441 -4.9554
7.2868 -7.7102 -1.3426
-2.9419 -4.4221 9.4282
ATOMIC_POSITIONS crystal
Na 0.8323 0.1068 0.1145
Na 0.6677 0.1068 0.6145
Na 0.1447 0.1147 0.3989
Na 0.3553 0.1147 0.8989
Na 0.3991 0.1191 0.1619
Na 0.1009 0.1191 0.6619
Na 0.5880 0.1224 0.3547
Na 0.9120 0.1224 0.8547
Na 0.8640 0.1541 0.3814
Na 0.6360 0.1541 0.8814
Na 0.1360 0.3459 0.8814
Na 0.3640 0.3459 0.3814
Na 0.0880 0.3776 0.3547
Na 0.4120 0.3776 0.8547
Na 0.6009 0.3809 0.6619
Na 0.8991 0.3809 0.1619
Na 0.6447 0.3853 0.3989
Na 0.8553 0.3853 0.8989
Na 0.1677 0.3932 0.6145
Na 0.3323 0.3932 0.1145
Na 0.6677 0.6068 0.8855
Na 0.8323 0.6068 0.3855
Na 0.1447 0.6147 0.1011
Na 0.3553 0.6147 0.6011
Na 0.3991 0.6191 0.3381
Na 0.1009 0.6191 0.8381
Na 0.5880 0.6224 0.1453
Na 0.9120 0.6224 0.6453
Na 0.6360 0.6541 0.6186
Na 0.8640 0.6541 0.1186
Na 0.1360 0.8459 0.6186
Na 0.3640 0.8459 0.1186
Na 0.0880 0.8776 0.1453
Na 0.4120 0.8776 0.6453
Na 0.6009 0.8809 0.8381
Na 0.8991 0.8809 0.3381
Na 0.6447 0.8853 0.1011
Na 0.8553 0.8853 0.6011
Na 0.1677 0.8932 0.8855
Na 0.3323 0.8932 0.3855
V 0.1149 0.1461 0.1270
V 0.3851 0.1461 0.6270
V 0.8851 0.3539 0.6270
V 0.6149 0.3539 0.1270
V 0.1149 0.6461 0.3730
V 0.3851 0.6461 0.8730
V 0.6149 0.8539 0.3730
V 0.8851 0.8539 0.8730
O 0.2298 0.0229 0.0505
O 0.2702 0.0229 0.5505
O 0.0032 0.0514 0.2423
O 0.4968 0.0514 0.7423
O 0.0011 0.2401 0.0199
O 0.4989 0.2401 0.5199
O 0.2230 0.2447 0.2382
O 0.2770 0.2447 0.7382
O 0.7230 0.2553 0.2382
O 0.7770 0.2553 0.7382
O 0.9989 0.2599 0.5199
O 0.5011 0.2599 0.0199
O 0.5032 0.4486 0.2423
O 0.9968 0.4486 0.7423
O 0.7702 0.4771 0.5505
O 0.7298 0.4771 0.0505
O 0.2702 0.5229 0.9495
O 0.2298 0.5229 0.4495
O 0.0032 0.5514 0.2577
O 0.4968 0.5514 0.7577
O 0.4989 0.7401 0.9801
O 0.0011 0.7401 0.4801
O 0.2230 0.7447 0.2619
O 0.2770 0.7447 0.7618
O 0.7230 0.7553 0.2619
O 0.7770 0.7553 0.7618
O 0.9989 0.7599 0.9801
O 0.5011 0.7599 0.4801
O 0.9968 0.9486 0.7577
O 0.5032 0.9486 0.2577
O 0.7702 0.9771 0.9495
O 0.7298 0.9771 0.4495
```


<ii>
A plane-wave DFT calculation with GGA+U was carried out for Na5VO4 after structural relaxation. Values from VASP.

```
&SYSTEM
  ibrav = 0, nat = 40, ntyp = 3
/
ATOMIC_SPECIES
Na 22.99 Na.upf
V 50.94 V.upf
O 16.00 O.upf
CELL_PARAMETERS angstrom
-3.4881 -5.1845 3.8085
-2.2528 7.2790 7.8455
-6.4209 1.7636 -3.4799
ATOMIC_POSITIONS crystal
Na 0.7500 0.0950 0.2500
Na 0.7500 0.5950 0.2500
Na 0.2500 0.4050 0.7500
Na 0.2500 0.9050 0.7500
Na 0.0110 0.3719 0.0565
Na 0.0110 0.8719 0.0565
Na 0.4890 0.3719 0.0565
Na 0.4890 0.8719 0.0565
Na 0.4890 0.3719 0.4435
Na 0.4890 0.8719 0.4435
Na 0.0110 0.3719 0.4435
Na 0.0110 0.8719 0.4435
Na 0.5110 0.1282 0.5565
Na 0.5110 0.6281 0.5565
Na 0.9890 0.1282 0.5565
Na 0.9890 0.6281 0.5565
Na 0.5110 0.1282 0.9435
Na 0.5110 0.6281 0.9435
Na 0.9890 0.1282 0.9435
Na 0.9890 0.6281 0.9435
V 0.2500 0.6101 0.2500
V 0.7500 0.3899 0.7500
V 0.2500 0.1101 0.2500
V 0.7500 0.8899 0.7500
O 0.2500 0.0139 0.0288
O 0.2500 0.5139 0.0289
O 0.2500 0.0139 0.4712
O 0.2500 0.5139 0.4711
O 0.7500 0.4862 0.5286
O 0.7500 0.9861 0.5288
O 0.7500 0.4862 0.9714
O 0.7500 0.9861 0.9712
O 0.4760 0.2045 0.2500
O 0.4759 0.7045 0.2500
O 0.0240 0.2045 0.2500
O 0.0241 0.7045 0.2500
O 0.5238 0.2954 0.7500
O 0.5240 0.7955 0.7500
O 0.9762 0.2954 0.7500
O 0.9760 0.7955 0.7500
```


Quick ranking, most stable first: <ii>, <i>.